A plane-wave DFT calculation with PBE-GGA was carried out for TiCrAgS4 after structural relaxation.

Output
The total energy after the MP2020 corrections comes out at -6.236 eV/atom. The value obtained for the energy above the most stable polymorph in this dataset is 0.146 eV/atom. For the spin magnetization, the calculation gives 0.0035 μB per atom. The density comes out at 4.094 g/cm³. The space group is Ima2.

POSCAR file:
```
TiCrAgS4
1.0
-3.623 3.681 5.109
3.623 -3.681 5.109
3.623 3.681 -5.109
Ti Cr Ag S
2 2 2 8
Direct
0.993 0.719 0.226
0.007 0.233 0.726
0.500 0.256 0.756
0.000 0.256 0.256
0.372 0.886 0.014
0.628 0.642 0.514
0.759 0.485 0.226
0.760 0.482 0.767
0.215 0.482 0.222
0.766 0.056 0.790
0.234 0.024 0.290
0.241 0.467 0.726
0.785 0.007 0.267
0.240 0.007 0.722
```

***

A plane-wave DFT calculation with PBE-GGA was carried out for Na3TaAlSi2PO12 after structural relaxation.

Output
The total energy after the MP2020 corrections comes out at -7.735 eV/atom. For the spin magnetization, the calculation gives 0.0000 μB per atom. The density comes out at 3.710 g/cm³.

POSCAR file:
```
Na3TaAlSi2PO12
1.0
-4.779 -0.319 14.643
-22.305 -12.262 -7.547
4.830 -6.368 -3.926
Na Ta Al Si P O
36 12 12 24 12 144
Direct
0.257 0.253 0.009
0.251 0.586 0.018
0.252 0.917 0.019
0.757 0.247 0.509
0.752 0.583 0.519
0.751 0.914 0.518
0.751 0.086 0.018
0.752 0.417 0.019
0.757 0.753 0.009
0.252 0.083 0.519
0.251 0.414 0.518
0.257 0.747 0.509
0.497 0.034 0.750
0.499 0.368 0.756
0.497 0.701 0.747
0.497 0.299 0.247
0.499 0.632 0.256
0.497 0.966 0.250
0.997 0.201 0.747
0.997 0.534 0.750
0.999 0.868 0.756
0.999 0.132 0.256
0.997 0.466 0.250
0.997 0.799 0.247
0.815 0.643 0.207
0.815 0.978 0.216
0.194 0.309 0.289
0.194 0.691 0.789
0.815 0.022 0.716
0.815 0.357 0.707
0.315 0.143 0.207
0.315 0.478 0.216
0.694 0.809 0.289
0.694 0.191 0.789
0.315 0.522 0.716
0.315 0.857 0.707
0.109 0.248 0.571
0.104 0.583 0.567
0.106 0.918 0.567
0.106 0.082 0.067
0.104 0.417 0.067
0.109 0.752 0.071
0.604 0.083 0.567
0.606 0.418 0.567
0.609 0.748 0.571
0.609 0.252 0.071
0.606 0.582 0.067
0.604 0.917 0.067
0.897 0.249 0.939
0.892 0.581 0.934
0.893 0.913 0.936
0.893 0.087 0.436
0.892 0.419 0.434
0.897 0.751 0.439
0.392 0.081 0.934
0.393 0.413 0.936
0.397 0.749 0.939
0.397 0.251 0.439
0.393 0.587 0.436
0.392 0.919 0.434
0.355 0.299 0.748
0.355 0.634 0.750
0.354 0.967 0.746
0.645 0.297 0.738
0.646 0.627 0.738
0.646 0.961 0.739
0.646 0.039 0.239
0.646 0.373 0.238
0.645 0.703 0.238
0.354 0.033 0.246
0.355 0.366 0.250
0.355 0.701 0.248
0.855 0.134 0.750
0.854 0.467 0.746
0.855 0.799 0.748
0.146 0.127 0.738
0.146 0.461 0.739
0.145 0.797 0.738
0.145 0.203 0.238
0.146 0.539 0.239
0.146 0.873 0.238
0.855 0.201 0.248
0.854 0.533 0.246
0.855 0.866 0.250
0.999 0.321 0.745
0.991 0.655 0.743
0.996 0.988 0.740
0.996 0.012 0.240
0.991 0.345 0.243
0.999 0.679 0.245
0.491 0.155 0.743
0.496 0.488 0.740
0.499 0.821 0.745
0.499 0.179 0.245
0.496 0.512 0.240
0.491 0.845 0.243
0.148 0.191 0.740
0.150 0.525 0.741
0.149 0.859 0.738
0.852 0.194 0.765
0.855 0.527 0.766
0.853 0.860 0.763
0.853 0.140 0.263
0.855 0.473 0.266
0.852 0.806 0.265
0.149 0.141 0.238
0.150 0.475 0.241
0.148 0.809 0.240
0.650 0.025 0.741
0.649 0.359 0.738
0.648 0.691 0.740
0.355 0.027 0.766
0.353 0.360 0.763
0.352 0.694 0.765
0.352 0.306 0.265
0.353 0.640 0.263
0.355 0.973 0.266
0.648 0.309 0.240
0.649 0.641 0.238
0.650 0.975 0.241
0.431 0.187 0.568
0.432 0.521 0.570
0.436 0.856 0.582
0.563 0.189 0.913
0.561 0.521 0.915
0.567 0.853 0.926
0.567 0.147 0.426
0.561 0.479 0.415
0.563 0.811 0.413
0.436 0.144 0.082
0.432 0.479 0.070
0.431 0.813 0.068
0.932 0.021 0.570
0.936 0.356 0.582
0.931 0.687 0.568
0.061 0.021 0.915
0.067 0.353 0.926
0.063 0.689 0.913
0.063 0.311 0.413
0.067 0.647 0.426
0.061 0.979 0.415
0.931 0.313 0.068
0.936 0.644 0.082
0.932 0.979 0.070
0.253 0.275 0.736
0.253 0.609 0.743
0.255 0.940 0.737
0.751 0.275 0.762
0.753 0.606 0.772
0.755 0.943 0.769
0.755 0.057 0.269
0.753 0.394 0.272
0.751 0.725 0.262
0.255 0.060 0.237
0.253 0.391 0.243
0.253 0.725 0.236
0.753 0.109 0.743
0.755 0.440 0.737
0.753 0.775 0.736
0.253 0.106 0.772
0.255 0.443 0.769
0.251 0.775 0.762
0.251 0.225 0.262
0.255 0.557 0.269
0.253 0.894 0.272
0.753 0.225 0.236
0.755 0.560 0.237
0.753 0.891 0.243
0.356 0.286 0.571
0.359 0.617 0.581
0.363 0.951 0.584
0.641 0.285 0.917
0.641 0.618 0.921
0.644 0.951 0.924
0.644 0.049 0.424
0.641 0.382 0.421
0.641 0.715 0.417
0.363 0.049 0.084
0.359 0.383 0.081
0.356 0.714 0.071
0.859 0.117 0.581
0.863 0.451 0.584
0.856 0.786 0.571
0.141 0.118 0.921
0.144 0.451 0.924
0.141 0.785 0.917
0.141 0.215 0.417
0.144 0.549 0.424
0.141 0.882 0.421
0.856 0.214 0.071
0.863 0.549 0.084
0.859 0.883 0.081
0.462 0.276 0.935
0.460 0.608 0.938
0.460 0.941 0.937
0.538 0.274 0.560
0.536 0.608 0.559
0.538 0.941 0.560
0.538 0.059 0.060
0.536 0.392 0.059
0.538 0.726 0.060
0.460 0.059 0.437
0.460 0.392 0.438
0.462 0.724 0.435
0.960 0.108 0.938
0.960 0.441 0.937
0.962 0.776 0.935
0.036 0.108 0.559
0.038 0.441 0.560
0.038 0.774 0.560
0.038 0.226 0.060
0.038 0.559 0.060
0.036 0.892 0.059
0.962 0.224 0.435
0.960 0.559 0.437
0.960 0.892 0.438
0.079 0.286 0.743
0.077 0.622 0.741
0.080 0.954 0.743
0.921 0.287 0.759
0.920 0.620 0.758
0.920 0.953 0.753
0.920 0.047 0.253
0.920 0.380 0.258
0.921 0.713 0.259
0.080 0.046 0.243
0.077 0.378 0.241
0.079 0.714 0.243
0.577 0.122 0.741
0.580 0.454 0.743
0.579 0.786 0.743
0.420 0.120 0.758
0.420 0.453 0.753
0.421 0.787 0.759
0.421 0.213 0.259
0.420 0.547 0.253
0.420 0.880 0.258
0.579 0.214 0.243
0.580 0.546 0.243
0.577 0.878 0.241
```

***

A plane-wave DFT calculation with PBE-GGA was carried out for B3Os2 after structural relaxation.

Output
The density comes out at 14.153 g/cm³. The electronic total energy comes out at -8.75 eV per atom. The space group is P6_3/mmc.

POSCAR file:
```
B3Os2
1.0
1.471 -2.548 0.000
1.471 2.548 0.000
0.000 0.000 12.926
B Os
6 4
Direct
0.333 0.667 0.531
0.667 0.333 0.469
0.667 0.333 0.031
0.333 0.667 0.969
0.333 0.667 0.750
0.667 0.333 0.250
0.333 0.667 0.360
0.667 0.333 0.640
0.667 0.333 0.860
0.333 0.667 0.140
```

***

A plane-wave DFT calculation with PBE-GGA was carried out for Li2CuSiO4 after structural relaxation.

Output
The total energy after the MP2020 corrections comes out at -6.463 eV/atom. The value obtained for the energy above the most stable polymorph in this dataset is 0.023 eV/atom. For the spin magnetization, the calculation gives 0.1247 μB per atom. The density comes out at 3.289 g/cm³. The space group is P2_1/c.

POSCAR file:
```
Li2CuSiO4
1.0
-0.204 4.514 -2.217
-6.063 -1.045 -1.572
-3.631 4.314 9.119
Li Cu Si O
8 4 4 16
Direct
0.320 0.006 0.587
0.180 0.006 0.087
0.318 0.761 0.833
0.182 0.761 0.333
0.818 0.239 0.667
0.682 0.239 0.167
0.820 0.994 0.913
0.680 0.994 0.413
0.278 0.510 0.585
0.222 0.510 0.085
0.778 0.490 0.915
0.722 0.490 0.415
0.818 0.760 0.666
0.682 0.760 0.166
0.318 0.240 0.834
0.182 0.240 0.334
0.715 0.976 0.595
0.785 0.976 0.095
0.708 0.747 0.812
0.149 0.749 0.668
0.792 0.747 0.312
0.351 0.749 0.168
0.710 0.550 0.591
0.790 0.550 0.091
0.210 0.450 0.909
0.290 0.450 0.409
0.649 0.251 0.832
0.208 0.253 0.688
0.851 0.251 0.332
0.292 0.253 0.188
0.215 0.024 0.905
0.285 0.024 0.405
```

***

A plane-wave DFT calculation with PBE-GGA was carried out for Ta2Co after structural relaxation.

Output
For the spin magnetization, the calculation gives 0.0001 μB per atom. The density comes out at 14.534 g/cm³. The electronic total energy comes out at -10.05 eV per atom. The space group is P6_3/mcm.

POSCAR file:
```
Ta2Co
1.0
0.771 2.881 3.972
-3.445 -3.576 0.156
6.171 -5.813 3.019
Ta Co
8 4
Direct
0.000 0.000 0.500
0.000 0.000 0.000
0.652 0.652 0.750
0.348 0.000 0.750
0.000 0.348 0.750
0.348 0.348 0.250
0.652 0.000 0.250
0.000 0.652 0.250
0.667 0.333 0.500
0.333 0.667 0.500
0.333 0.667 0.000
0.667 0.333 0.000
```

***

A plane-wave DFT calculation with PBE-GGA was carried out for CsCeSiS4 after structural relaxation.

Output
The total energy after the MP2020 corrections comes out at -5.815 eV/atom. The density comes out at 3.533 g/cm³. The space group is Pnma.

POSCAR file:
```
CsCeSiS4
1.0
6.528 0.000 0.000
0.000 6.772 0.000
0.000 0.000 18.258
Cs Ce Si S
4 4 4 16
Direct
0.502 0.750 0.215
0.998 0.750 0.715
0.498 0.250 0.785
0.002 0.250 0.285
0.292 0.750 0.478
0.208 0.750 0.978
0.708 0.250 0.522
0.792 0.250 0.022
0.788 0.750 0.415
0.712 0.750 0.915
0.212 0.250 0.585
0.288 0.250 0.085
0.047 0.750 0.346
0.453 0.750 0.846
0.953 0.250 0.654
0.547 0.250 0.154
0.625 0.750 0.028
0.875 0.750 0.528
0.375 0.250 0.972
0.125 0.250 0.472
0.590 0.502 0.398
0.910 0.998 0.898
0.410 0.002 0.602
0.090 0.498 0.102
0.410 0.498 0.602
0.090 0.002 0.102
0.590 0.998 0.398
0.910 0.502 0.898
```

***

A plane-wave DFT calculation with PBE-GGA was carried out for PmInO3 after structural relaxation.

Output
The total energy after the MP2020 corrections comes out at -6.907 eV/atom. For the spin magnetization, the calculation gives 0.0000 μB per atom. The density comes out at 7.172 g/cm³. The space group is Pm-3m.

POSCAR file:
```
PmInO3
1.0
-2.600 -3.049 1.064
1.046 -2.087 -3.427
3.056 -1.880 2.078
Pm In O
1 1 3
Direct
0.000 0.000 0.000
0.500 0.500 0.500
0.500 0.500 0.000
0.500 0.000 0.500
0.000 0.500 0.500
```

***

A plane-wave DFT calculation with PBE-GGA was carried out for ReNO4 after structural relaxation.

Output
The total energy after the MP2020 corrections comes out at -7.237 eV/atom. The value obtained for the energy above the most stable polymorph in this dataset is 0.112 eV/atom. For the spin magnetization, the calculation gives 0.4711 μB per atom. The density comes out at 3.218 g/cm³. The space group is I4_1/a.

POSCAR file:
```
ReNO4
1.0
6.260 0.000 0.000
0.000 6.260 0.000
-3.130 -3.130 6.957
Re N O
2 2 8
Direct
0.250 0.750 0.500
0.000 0.000 0.000
0.750 0.250 0.500
0.500 0.500 0.000
0.819 0.725 0.854
0.035 0.129 0.854
0.215 0.621 0.646
0.431 0.025 0.646
0.871 0.181 0.146
0.275 0.965 0.146
0.975 0.785 0.354
0.379 0.569 0.354
```

***

A plane-wave DFT calculation with PBE-GGA was carried out for Na2TlAgF6 after structural relaxation.

Output
The total energy after the MP2020 corrections comes out at -4.068 eV/atom. For the spin magnetization, the calculation gives 0.0001 μB per atom. The density comes out at 4.203 g/cm³. The space group is Fm-3m.

POSCAR file:
```
Na2TlAgF6
1.0
0.000 4.535 4.535
4.535 0.000 4.535
4.535 4.535 0.000
Na Tl Ag F
2 1 1 6
Direct
0.750 0.750 0.750
0.250 0.250 0.250
0.000 0.000 0.000
0.500 0.500 0.500
0.757 0.243 0.243
0.243 0.243 0.757
0.243 0.757 0.757
0.243 0.757 0.243
0.757 0.243 0.757
0.757 0.757 0.243
```

***

A plane-wave DFT calculation with PBE-GGA was carried out for BaYMg6 after structural relaxation.

Output
The value obtained for the energy above the most stable polymorph in this dataset is 0.003 eV/atom. For the spin magnetization, the calculation gives 0.0055 μB per atom. The density comes out at 2.728 g/cm³. The space group is Amm2.

POSCAR file:
```
BaYMg6
1.0
5.579 3.939 0.606
-5.642 1.875 3.415
1.617 -2.950 4.291
Ba Y Mg
1 1 6
Direct
0.156 0.844 0.000
0.348 0.652 0.500
0.824 0.658 0.500
0.342 0.176 0.500
0.839 0.161 0.500
0.654 0.828 0.000
0.172 0.346 0.000
0.664 0.336 0.000
```